Record 1
50
Lattice="0.8096 -3.1425 6.4713 7.0470 -0.9699 -1.3448 6.9829 11.6381 8.8075" Properties=species:S:1:pos:R:3 comment="Tc6BiO18 PBE-GGA optimized geometry" formation_energy_kj_per_mol_fu=-4232 space_group="C2/c (15)" magmom_total_mub_per_cell=0.1 pbc="T T T"
Tc 3.5235 -0.4849 -0.6724
O 2.5470 0.5866 0.5089
O 7.2540 7.8357 12.9667
O 9.2088 8.5337 11.4588
Bi 0.4048 -1.5713 3.2357
O 12.4827 5.6309 9.8521
O 4.2269 -2.3032 4.3693
O 4.7671 4.7109 9.2777
Tc 3.8963 4.2478 7.6394
O 10.0724 2.8148 4.6564
O 7.6936 1.9711 7.7723
O 7.5855 -0.3099 0.9674
Tc 8.8548 6.7537 12.2961
O 10.5050 6.0871 11.7242
O 8.5489 0.8029 5.3964
O 4.4680 5.8586 6.8807
Tc 5.9847 0.7720 1.6380
O 10.3716 1.6671 7.0534
O 7.3356 3.2783 5.0272
O 5.1528 0.2424 0.0154
O 2.6444 -0.6163 3.0238
O 8.4180 3.6382 2.7292
Tc 8.4849 2.0220 3.9806
O 7.9113 6.2355 10.7406
O 7.5040 4.2475 8.9069
O 2.8922 -0.1157 8.2511
O 12.2925 6.9391 13.4252
Tc 3.9283 -2.0562 2.5633
Tc 12.3811 6.2513 11.6054
Tc 8.8780 0.4282 7.2163
O 10.6127 9.8289 9.5648
O 7.4321 -0.7313 7.4021
O 6.9282 1.2902 3.1935
O 4.3345 1.4386 2.2099
O 7.4075 8.2570 6.5320
O 5.6307 -1.0079 2.4753
Bi 7.0150 5.3341 3.7314
O 7.1460 5.5546 6.1618
O 9.6868 7.2834 13.9187
Tc 5.9616 7.0975 6.7178
Tc 2.4584 1.2744 2.3287
Tc 7.4198 3.7629 6.9671
O 6.2906 6.7228 8.5377
O 2.3569 1.8949 4.0820
O 9.2420 4.0466 6.8637
O 6.4216 3.8875 11.2049
O 11.9474 7.6414 5.6830
O 12.1951 8.1420 10.9103
O 5.5975 3.4791 7.0704
Tc 6.3547 5.5037 9.9535

Record 2
50
Lattice="7.2651 0.0000 0.0000 -0.0044 7.2660 0.0000 -3.5794 -3.5953 15.4333" Properties=species:S:1:pos:R:3 comment="Tc6BiO18 PBE-GGA optimized geometry" formation_energy_kj_per_mol_fu=-4253 space_group="P1 (1)" magmom_total_mub_per_cell=0.0 pbc="T T T"
O 3.9701 5.8383 1.2975
O -1.7255 -0.0034 9.4074
O -0.5091 1.3090 11.6066
O 0.4997 2.3357 6.4232
O -0.3434 2.2654 14.1218
Tc -3.5247 -3.5290 15.4026
Tc 5.4686 5.4689 2.5319
Tc 3.6746 0.1291 10.2688
O -0.2704 -2.0071 14.2052
O 4.1910 1.3513 11.5783
Tc -1.7885 -1.7813 12.7916
O 3.2177 5.1153 6.3759
O -0.5043 4.9461 3.8548
O 5.3983 3.5964 1.6718
O -3.1174 -2.2080 14.1811
O 1.8178 3.6679 14.9039
O 5.3937 -0.0032 3.0759
O 1.8285 3.7273 8.2434
Tc 1.7670 1.8487 7.6811
O -1.7567 0.0142 13.7252
Tc 0.0569 0.0647 10.3632
Tc 3.6544 3.6010 5.1285
Tc 0.0792 3.5509 15.4043
O 3.2349 1.3621 8.9469
O 3.9661 1.5481 1.2168
Tc -1.8215 1.8341 12.8734
O 1.8823 0.0339 0.5015
O 1.8518 0.0540 10.7948
O 4.2466 -1.2171 11.5302
O 5.4755 3.6996 5.9828
O 0.3281 -1.4406 8.9501
Tc 5.4442 1.8038 2.6057
Bi 3.6196 3.3521 0.0263
O 1.8465 -0.0249 7.1925
O 1.8285 3.6476 4.6342
O 6.7501 1.2662 1.2845
O -0.5121 2.3498 3.8315
O 0.2943 5.1331 6.4875
Tc 2.0110 -1.7871 7.7152
O 3.1720 2.3412 6.4732
O -0.4365 -1.2949 11.5630
O 6.7458 5.8855 1.2804
O -3.1453 2.3166 14.2287
O 4.1640 2.3221 3.8450
Bi -1.4368 -1.7745 7.7485
O 3.2472 -1.4184 9.0519
O 4.2069 4.8769 3.8384
O 0.5484 1.3732 8.9938
Tc 0.0181 3.6588 5.0586
O -1.7655 3.6900 12.4265

Record 3
96
Lattice="-9.4406 0.4204 6.9336 1.0216 -11.4880 2.0874 6.8708 2.2857 9.2165" Properties=species:S:1:pos:R:3 comment="TcBi3O8 PBE-GGA optimized geometry" formation_energy_kj_per_mol_fu=-2093 space_group="P2_13 (198)" pbc="T T T"
O 1.3858 -1.3913 6.8028
Bi -2.7741 -8.2959 13.8674
O -0.2600 -7.7265 5.5064
O -0.7250 -2.6956 2.0044
O -8.5197 -4.9655 7.9826
O 0.2907 -2.1585 11.4905
Bi 1.3363 -2.6411 8.8431
O 3.1279 -1.3669 8.8563
Bi -2.7250 -9.1298 9.5567
Bi 3.4220 -0.2645 6.9770
O 0.0174 -5.1193 4.8915
O -0.0507 -0.2877 0.5974
O 0.2375 -9.6976 10.1689
O -4.4735 -8.2156 8.5882
Bi -6.4090 -9.2470 8.7342
O -1.6140 -8.7320 3.4068
O -2.9328 -9.3085 15.8069
O 1.8157 -7.9452 11.8031
O -4.0558 -5.2254 9.6447
O -4.7689 -1.6897 8.0305
Tc -5.0666 -5.8714 10.9107
O -4.2576 -7.2404 11.6270
Bi -2.1286 1.0286 14.0456
O -0.6776 -9.4235 14.1128
Bi -1.9758 -3.9755 4.6505
O 2.2468 2.1152 12.3062
O -3.5531 1.1123 9.7779
Bi -1.7617 0.0424 10.4186
O -7.6665 -2.3750 7.1326
O -0.8156 -4.6265 9.6079
O -3.3288 -1.6518 10.3059
O 5.5279 -1.1816 7.6489
O 0.5422 -5.1796 12.0598
O -0.7386 -2.8561 14.0369
Bi -1.0547 -0.7069 6.3027
O 1.0803 0.5176 10.2450
O 3.7403 1.4771 9.9558
O 0.6760 -8.5559 16.4757
O -6.5658 -6.4155 10.2049
O -2.2657 -0.5128 12.4847
Bi -4.1393 -6.8523 6.8967
O -2.9149 -2.0644 6.1136
Bi -0.0032 -6.9629 3.4607
O 2.0936 -2.9330 13.5839
O 1.2124 -9.8770 7.2034
O -2.2747 -5.0318 6.5371
Bi 3.4275 -5.1925 11.9749
O 5.3243 -4.0011 8.0692
O 2.6829 -7.5493 6.4966
Tc 0.5969 -2.1021 13.2065
O -5.5065 0.8798 7.7048
O -1.9644 -6.0804 17.4436
Tc -7.1920 -3.8060 7.9995
O 3.9922 -10.0871 6.5785
Bi -0.4378 -6.1333 7.0109
Bi 0.7863 -7.6442 14.4835
O 1.3631 -1.0448 2.9765
Bi 1.6467 -3.1669 5.3474
Bi -3.6179 -2.2147 12.8107
O -3.7328 -8.2381 5.2601
O -1.2737 -7.0857 10.9878
O -5.7988 -4.5151 7.2377
Tc -0.9500 -5.3891 11.1915
O -1.1954 -6.7809 14.0819
O -1.2690 -1.4818 8.3320
O -5.3767 -4.6458 12.1249
O 1.6625 -4.1578 7.2922
O -0.4401 -2.4964 5.1842
Tc 2.5587 0.8827 11.0850
Bi 5.7155 -7.7901 10.4650
O 4.0830 -6.3392 10.2180
O 0.6913 -0.4325 13.7020
O -1.3295 -0.1815 3.1637
Bi -1.7318 -5.1594 15.4663
O 0.4606 -5.7888 15.9596
Bi 3.7330 -5.4873 8.2223
Tc -0.1844 -1.0460 2.1722
Bi -4.8192 -0.7166 6.0597
Bi -2.9541 -2.8860 8.3610
O -2.2503 -4.6490 12.0782
O 3.1610 -0.5541 11.8581
O 2.0915 -9.5099 4.5252
O 3.0704 -3.9009 9.7661
O -1.8818 -5.9626 2.9293
Bi 4.9348 -2.4182 9.5371
Bi -1.8325 -9.2541 5.6708
O -2.0813 -7.7193 7.4901
O -3.2131 0.7775 6.0618
O 3.8699 -1.7637 5.4395
Tc 1.5578 -8.5446 10.1858
O 1.1950 -7.1955 9.1418
Bi -5.2157 -0.3158 9.6878
O -6.8103 -3.3921 9.6450
O 3.0276 -9.3010 9.6298
Tc 2.4870 -9.2516 6.1990
O -3.6281 -6.5987 15.2225

Record 4
32
Lattice="2.3934 2.0466 -8.2765 -6.9481 -0.3510 5.4789 2.0669 11.0440 3.3287" Properties=species:S:1:pos:R:3 comment="Bi2TeO5 PBE-GGA optimized geometry" formation_energy_kj_per_mol_fu=-1270 space_group="Aem2 (39)" pbc="T T T"
Bi 2.2767 6.2295 -5.8900
O -1.8781 5.4884 2.9755
O 0.3239 8.8989 0.9030
O -2.7439 9.5439 0.6682
O -0.1393 10.2829 -1.5658
O -0.8337 8.6723 4.2090
O -0.0551 5.9272 0.9957
O 0.0134 4.9638 -4.2551
O -2.9557 4.3915 -2.1099
Bi -5.0389 6.6123 6.2524
O -2.0243 2.4315 -4.0465
Te 0.1884 10.6699 0.2685
O -1.4688 3.3408 0.4529
Te -2.8961 2.1516 0.1274
O -3.0532 11.2722 2.9869
Bi 1.3493 8.2554 -2.7741
Bi -1.9496 7.4052 1.7034
O -2.5658 0.8602 1.5031
Te 3.2937 11.4669 -4.3040
O -3.8152 8.2650 3.9790
O 2.0431 11.1479 0.2349
O 1.1827 6.5840 -1.3436
O -4.0945 6.6619 1.6749
Te -6.0014 1.3546 4.7000
Bi -3.8051 4.4724 3.3247
Bi -2.8633 9.8771 4.9064
Bi 0.2771 2.8992 -4.4358
O -1.1556 7.1062 -2.8405
O -2.3324 6.7751 -0.4031
O 0.9519 3.0971 -2.0773
Bi -0.8126 5.4366 -1.3410
O -4.2972 3.1822 0.8999

Record 5
68
Lattice="-2.5228 -3.8882 6.6743 6.7138 -1.4997 1.6641 6.7075 15.1065 11.3359" Properties=species:S:1:pos:R:3 comment="Bi2Te4O11 PBE-GGA optimized geometry" formation_energy_kj_per_mol_fu=-2586 space_group="P2_1/c (14)" pbc="T T T"
O 6.9415 3.4741 7.9540
O 4.4281 9.2234 8.4838
O -0.5526 -1.7550 4.4897
O 8.0060 6.6160 16.5076
O 3.6043 2.6014 6.8187
Bi 5.6314 11.3001 14.8211
O 7.3248 8.1281 10.2164
Te -0.2211 0.4166 8.4625
Bi 5.2214 6.7926 9.7725
O 4.2978 7.7004 14.4576
O 0.5457 0.8554 4.2144
O 10.7201 11.6821 12.4979
O 7.7533 3.0255 11.3818
O 10.7342 10.0041 18.0363
Te 3.5833 8.6644 12.9382
O 9.4816 8.8424 12.1358
Bi 9.2892 7.0016 8.7531
O 0.1785 -1.9636 7.1763
O 6.4704 0.4951 11.1904
O 3.4246 -2.2628 6.4275
Bi 1.6094 2.7169 10.9211
Te 4.8404 2.5050 4.1609
O 5.7780 0.7979 7.8612
Te 9.7429 11.5338 14.1252
Te 3.2307 4.8338 7.5311
O 6.6931 6.4230 7.9758
O 3.1453 6.6930 8.2924
O 7.9515 11.4534 16.3285
Bi 2.5655 0.3151 2.2581
O 8.8915 13.9148 11.7022
Te 7.6679 4.8848 12.1431
O 4.6141 5.1894 6.2721
O 4.3962 4.6022 9.0543
Te 7.0267 4.9631 6.7705
Te 3.8719 4.7554 12.9037
O 10.3528 8.8631 15.4598
Te 11.1197 9.3019 11.2118
Te 6.0582 7.2136 15.5133
O 3.5738 1.5904 9.4578
O 4.2054 3.2955 11.6984
O 6.8055 8.9556 15.4487
O 6.5023 5.1164 10.6199
O 0.1644 -0.2855 1.6379
O 1.4170 0.8761 7.5384
O 7.7066 11.3082 10.5065
O 3.1920 -1.5897 9.1677
O 3.9571 6.2444 11.7203
O 4.0931 0.7630 4.2255
Bi 5.2672 -1.5815 4.8531
O 6.2845 4.5292 13.4022
Te 7.1051 13.1893 11.8219
Te 7.3775 8.7995 11.9894
O 1.9348 4.4630 12.4498
O 2.0070 -4.1963 7.9720
O 7.4739 11.9814 13.2467
O 2.9471 -1.7348 3.3457
O 6.6008 2.0181 5.2166
O 2.8926 3.1025 3.1666
O 7.2942 7.1171 12.8555
Te 3.7935 -3.4708 7.8524
Te 3.5211 0.9190 7.6848
Bi 8.3331 9.4035 17.4162
Te 1.1557 -1.8152 5.5490
O 8.9638 5.2556 7.2244
O 5.1205 8.9206 11.8130
Bi 5.6772 2.9259 9.9017
Te 7.3153 1.0541 6.7361
O 11.4512 11.4735 15.1845

Record 6
52
Lattice="4.6275 8.0453 0.0000 -4.6275 8.0453 0.0000 0.0000 1.5604 11.6254" Properties=species:S:1:pos:R:3 comment="Bi5Te3O18 PBE-GGA optimized geometry" formation_energy_kj_per_mol_fu=-3541 space_group="C2 (5)" magmom_total_mub_per_cell=2.0 pbc="T T T"
O 1.6836 4.9590 4.9607
O 0.1381 1.7759 9.2954
Bi 0.4487 14.1850 5.5438
O 0.0257 4.5697 1.4359
Te 1.8542 6.3306 6.4153
O -0.9035 8.7631 3.3597
O 0.0257 13.0813 10.1895
O 0.1381 15.8751 2.3300
O -0.9035 8.8880 8.2657
O -1.7915 10.8297 9.8300
Te -2.7180 8.3599 2.8282
O 2.9909 7.9890 11.1146
O 1.9863 7.6519 7.7891
O -2.8661 8.2365 10.5166
O 0.6020 5.1964 7.3794
Bi 0.0019 11.3170 8.3217
O 3.1428 10.4983 6.4448
O -1.7045 12.2467 1.3808
O 0.4585 7.3137 5.4622
O 1.6836 12.6920 6.6647
O -1.7045 5.4044 10.2446
O 2.9909 9.6620 0.5107
O -1.0987 13.5492 7.3005
Te 1.6720 5.4079 0.4873
O 1.7387 12.0667 0.9705
O -2.8661 9.4145 1.1088
Te 1.8542 11.3204 5.2101
O -3.5108 7.8559 7.7232
O -1.0987 4.1018 4.3249
O -1.7915 6.8213 1.7954
Bi 0.0019 6.3341 3.3036
O 0.6020 12.4546 4.2460
O 0.4585 10.3374 6.1632
Bi -1.5533 12.2102 11.5644
Bi -0.8134 2.3991 2.7009
O 1.7042 6.6696 1.9177
O -3.5108 9.7952 3.9022
O 0.2658 9.7903 0.5814
O 0.2658 7.8607 11.0440
O 3.1428 7.1527 5.1806
Bi -1.0778 8.8255 5.8127
O -2.5708 7.1659 4.4085
O 1.9863 9.9991 3.8363
Te 1.6720 12.2431 11.1380
Bi 0.4487 3.4661 6.0816
Bi -0.8134 15.2519 8.9245
Te -2.7180 9.2911 8.7972
Bi -1.5533 5.4408 0.0610
O 1.7042 10.9815 9.7077
Bi 4.4203 8.0453 0.0000
O 1.7387 5.5843 10.6549
O -2.5708 10.4852 7.2169

Record 7
38
Lattice="5.4539 0.0000 0.0000 0.0000 5.5404 0.0000 0.0000 2.6883 16.6774" Properties=species:S:1:pos:R:3 comment="Ti3Bi4O12 PBE-GGA optimized geometry" formation_energy_kj_per_mol_fu=-4673 space_group="Pc (7)" pbc="T T T"
O 1.7465 3.3070 1.8974
Bi 3.9504 5.5093 9.6014
Bi 4.0937 2.7759 2.1992
Ti 1.3562 5.7041 16.6371
O 3.7074 0.5368 1.8974
Ti 4.1013 2.9834 12.3776
Ti 1.3723 3.0609 4.2479
Bi 4.0881 5.4713 14.4438
O 0.0406 1.4536 8.3511
O 4.5240 3.2398 14.7016
O 2.5584 4.3268 12.9668
O 5.4133 4.2238 8.3511
O 2.6913 4.2161 8.2886
O 0.1197 1.6757 3.6474
Bi 1.3658 2.7011 14.4438
O 1.0106 3.1323 5.9879
O 2.7626 1.4459 8.2886
Bi 1.2258 5.4832 7.0396
O 2.9439 1.9841 4.1207
O 2.8669 7.1515 16.3096
Ti 4.0816 5.8311 4.2479
O 0.1759 4.7723 0.2558
O 1.6804 5.8051 10.6289
O 2.5100 4.7543 4.1207
O 5.2780 2.0021 0.2558
O 5.3342 4.4459 3.6474
O 3.7735 3.0349 10.6289
O 5.1739 4.7599 12.5011
Bi 1.3602 5.5461 2.1992
Bi 1.5035 2.7391 9.6014
Ti 1.3526 5.7536 12.3776
O 4.4433 5.9025 5.9879
Bi 4.2281 2.7130 7.0396
Ti 4.0977 2.9339 16.6371
O 0.2800 7.5301 12.5011
O 2.5870 4.3813 16.3096
O 2.8955 7.0970 12.9668
O 0.9299 6.0100 14.7016